Here is crystalline Th4Mg at its relaxed geometry from the Materials Project database. Energies are from GGA-PBE.

- Volume: 1505.0 Å³ per cell
- ΔH_f (0 K): 0.9312 eV/atom
- Mass density: 8.41 Mg/m³

Unit cell a=11.4597 b=11.4597 c=11.4597 alpha=90.00 beta=90.00 gamma=90.00
Last column: nearest neighbours and their distance in Å.
Space group Fd-3m (No. 227, origin choice 2)
Inequivalent atoms, fractional coordinates:
Th 0.0231 0.0231 0.2269  1 Mg 2.94
Mg 0.1250 0.1250 0.6250  4 Th 2.94

---

Here is crystalline Th6Mg23 at its relaxed geometry from the Materials Project database. Energies are from GGA-PBE.

- Volume: 2928.8 Å³ per cell
- ΔH_f (0 K): 0.0049 eV/atom
- Mass density: 4.43 Mg/m³

Unit cell a=14.3074 b=14.3074 c=14.3074 alpha=90.00 beta=90.00 gamma=90.00
Last column: nearest neighbours and their distance in Å.
Space group Fm-3m (No. 225)
Inequivalent atoms, fractional coordinates:
Th 0.0000 0.0000 0.1836  12 Mg 3.45-3.71, 4 Th 3.72
Mg 0.0000 0.0000 0.5000  8 Mg 2.97
Mg 0.0000 0.2500 0.2500  8 Mg 2.92-3.14
Mg 0.1198 0.1198 0.3802  7 Mg 2.97-3.17
Mg 0.1700 0.1700 0.1700  9 Mg 2.92-3.24

---

Here is crystalline ThMg3 at its relaxed geometry from the Materials Project database. Energies are from GGA-PBE.

- Volume: 208.2 Å³ per cell
- ΔH_f (0 K): 0.0486 eV/atom
- Mass density: 4.87 Mg/m³

Unit cell a=6.7849 b=6.7849 c=5.2215 alpha=90.00 beta=90.00 gamma=120.00
Last column: nearest neighbours and their distance in Å.
Space group P6_3/mmc (No. 194)
Inequivalent atoms, fractional coordinates:
Th 0.3333 0.6667 0.2500  12 Mg 3.31-3.39
Mg 0.1608 0.3216 0.7500  8 Mg 3.22-3.51, 4 Th 3.31-3.39

---

Here is crystalline Th3Mg at its relaxed geometry from the Materials Project database. Energies are from GGA-PBE.

- Volume: 245.5 Å³ per cell
- ΔH_f (0 K): 0.0587 eV/atom
- Mass density: 9.75 Mg/m³

Unit cell a=4.9254 b=4.9254 c=10.1199 alpha=90.00 beta=90.00 gamma=90.00
Last column: nearest neighbours and their distance in Å.
Space group I4/mmm (No. 139)
Inequivalent atoms, fractional coordinates:
Th 0.0000 0.0000 0.0000  4 Mg 3.48, 8 Th 3.53
Th 0.0000 0.5000 0.2500  8 Th 3.48-3.53, 4 Mg 3.53
Mg 0.0000 0.0000 0.5000  12 Th 3.48-3.53

---

Here is crystalline Th3Mg at its relaxed geometry from the Materials Project database. Energies are from GGA-PBE.

- Volume: 122.3 Å³ per cell
- ΔH_f (0 K): 0.0664 eV/atom
- Mass density: 9.78 Mg/m³

Unit cell a=4.9642 b=4.9642 c=4.9642 alpha=90.00 beta=90.00 gamma=90.00
Last column: nearest neighbours and their distance in Å.
Space group Pm-3m (No. 221)
Inequivalent atoms, fractional coordinates:
Th 0.0000 0.0000 0.5000  8 Th 3.51, 4 Mg 3.51
Mg 0.5000 0.5000 0.5000  12 Th 3.51

---

Here is crystalline ThMgZn2 at its relaxed geometry from the Materials Project database. Energies are from GGA-PBE.

- Volume: 347.1 Å³ per cell
- ΔH_f (0 K): -0.2192 eV/atom
- Mass density: 7.41 Mg/m³

Unit cell a=7.0281 b=7.0281 c=7.0281 alpha=90.00 beta=90.00 gamma=90.00
Last column: nearest neighbours and their distance in Å.
Space group Fm-3m (No. 225)
Inequivalent atoms, fractional coordinates:
Th 0.0000 0.0000 0.0000  8 Zn 3.04
Mg 0.0000 0.0000 0.5000  8 Zn 3.04
Zn 0.2500 0.2500 0.2500  4 Th 3.04, 4 Mg 3.04

---

Here is crystalline Mg2Ti at its relaxed geometry from the Materials Project database. Energies are from GGA-PBE.

- Volume: 245.6 Å³ per cell
- ΔH_f (0 K): 0.1086 eV/atom
- Mass density: 2.61 Mg/m³

Unit cell a=3.0158 b=16.5745 c=4.9142 alpha=90.00 beta=90.00 gamma=90.00
Last column: nearest neighbours and their distance in Å.
Space group Cmcm (No. 63)
Inequivalent atoms, fractional coordinates:
Mg 0.0000 0.1096 0.2500  6 Ti 2.97-3.07, 6 Mg 3.00-3.30
Mg 0.0000 0.2130 0.7500  10 Mg 3.00-3.30, 2 Ti 3.17
Ti 0.0000 0.4549 0.2500  4 Ti 2.88-3.02, 8 Mg 2.97-3.17

---

Here is crystalline Mg3Ti at its relaxed geometry from the Materials Project database. Energies are from GGA-PBE.

- Volume: 169.6 Å³ per cell
- ΔH_f (0 K): 0.2235 eV/atom
- Mass density: 2.36 Mg/m³

Unit cell a=4.4019 b=4.4019 c=8.7551 alpha=90.00 beta=90.00 gamma=90.00
Last column: nearest neighbours and their distance in Å.
Space group I4/mmm (No. 139)
Inequivalent atoms, fractional coordinates:
Mg 0.0000 0.0000 0.0000  8 Mg 3.10, 4 Ti 3.11
Mg 0.0000 0.5000 0.2500  4 Ti 3.10, 8 Mg 3.10-3.11
Ti 0.0000 0.0000 0.5000  12 Mg 3.10-3.11

---

Here is crystalline MgTi at its relaxed geometry from the Materials Project database. Energies are from GGA-PBE.

- Volume: 156.3 Å³ per cell
- ΔH_f (0 K): 0.0648 eV/atom
- Mass density: 3.07 Mg/m³

Unit cell a=2.9588 b=4.8930 c=10.7976 alpha=90.00 beta=90.00 gamma=90.00
Last column: nearest neighbours and their distance in Å.
Space group Pmmn (No. 59, origin choice 2)
Inequivalent atoms, fractional coordinates:
Mg 0.2500 0.2500 0.0560  10 Mg 2.96-3.27, 2 Ti 3.19
Mg 0.2500 0.7500 0.2143  6 Mg 2.96-3.27, 6 Ti 3.07-3.08
Ti 0.2500 0.2500 0.5355  10 Ti 2.78-2.96, 2 Mg 3.08
Ti 0.2500 0.7500 0.6827  6 Ti 2.78-2.96, 4 Mg 3.07

---

Here is crystalline MgTi5 at its relaxed geometry from the Materials Project database. Energies are from GGA-PBE.

- Volume: 108.6 Å³ per cell
- Offset from the most stable computed form: 0 meV/atom
- ΔH_f (0 K): 0.0616 eV/atom
- Mass density: 4.03 Mg/m³

Unit cell a=2.9587 b=2.9587 c=14.3234 alpha=90.00 beta=90.00 gamma=120.00
Last column: nearest neighbours and their distance in Å.
Space group P-6m2 (No. 187)
Inequivalent atoms, fractional coordinates:
Mg 0.0000 0.0000 0.0000  6 Mg 2.96, 6 Ti 3.09
Ti 0.0000 0.0000 0.3363  12 Ti 2.82-2.96
Ti 0.3333 0.6667 0.1794  9 Ti 2.82-2.96, 3 Mg 3.09
Ti 0.3333 0.6667 0.5000  12 Ti 2.90-2.96

---

Here is crystalline Mg2Ti at its relaxed geometry from the Materials Project database. Energies are from GGA-PBE.

- Volume: 247.2 Å³ per cell
- ΔH_f (0 K): 0.1372 eV/atom
- Mass density: 2.59 Mg/m³

Unit cell a=5.0630 b=3.0095 c=16.2213 alpha=90.00 beta=90.00 gamma=90.00
Last column: nearest neighbours and their distance in Å.
Space group Amm2 (No. 38)
Inequivalent atoms, fractional coordinates:
Mg 0.0000 0.0000 0.0000  8 Mg 3.01-3.23, 4 Ti 3.12
Mg 0.0000 0.0000 0.3240  10 Mg 3.01-3.23, 2 Ti 3.18
Mg 0.0000 0.0000 0.6605  6 Ti 2.98-3.03, 6 Mg 3.01-3.05
Mg 0.5000 0.0000 0.8862  8 Mg 3.01-3.13, 4 Ti 3.25-3.30
Ti 0.5000 0.0000 0.2049  4 Ti 2.74-3.01, 4 Mg 3.03
Ti 0.5000 0.0000 0.5637  4 Ti 2.74-3.01, 2 Mg 2.98

---

Here is crystalline MgTi at its relaxed geometry from the Materials Project database. Energies are from GGA-PBE.

- Volume: 390.0 Å³ per cell
- ΔH_f (0 K): 0.1671 eV/atom
- Mass density: 3.07 Mg/m³

Unit cell a=4.7681 b=16.3675 c=4.9976 alpha=90.00 beta=90.00 gamma=90.00
Last column: nearest neighbours and their distance in Å.
Space group Amm2 (No. 38)
Inequivalent atoms, fractional coordinates:
Mg 0.0000 0.0000 0.0000  8 Mg 3.00-3.05, 2 Ti 3.09
Mg 0.0000 0.1045 0.5042  7 Ti 2.92-3.12, 4 Mg 3.01-3.09
Mg 0.5000 0.1056 0.1108  7 Ti 2.98-3.10, 4 Mg 3.00-3.09
Ti 0.0000 0.2083 0.9806  6 Ti 2.85-3.01, 5 Mg 2.92-3.12
Ti 0.5000 0.0000 0.6058  10 Mg 2.98-3.09
Ti 0.5000 0.2052 0.6117  6 Ti 2.85-3.01, 5 Mg 2.95-3.10

---

Here is crystalline Mg2Ti at its relaxed geometry from the Materials Project database. Energies are from GGA-PBE.

- Volume: 249.3 Å³ per cell
- ΔH_f (0 K): 0.2007 eV/atom
- Mass density: 2.57 Mg/m³

Unit cell a=4.9704 b=9.1785 c=5.4652 alpha=90.00 beta=90.00 gamma=90.00
Last column: nearest neighbours and their distance in Å.
Space group Pmmn (No. 59, origin choice 2)
Inequivalent atoms, fractional coordinates:
Mg 0.2500 0.0783 0.0900  8 Mg 3.01-3.23, 4 Ti 3.03-3.17
Mg 0.2500 0.2500 0.5735  6 Ti 3.04-3.05, 6 Mg 3.08-3.23
Mg 0.2500 0.7500 0.0888  8 Mg 3.01-3.10, 4 Ti 3.08-3.20
Ti 0.2500 0.5818 0.5757  3 Ti 3.02-3.09, 9 Mg 3.03-3.20

---

Here is crystalline Mg2Ti at its relaxed geometry from the Materials Project database. Energies are from GGA-PBE.

- Volume: 374.1 Å³ per cell
- ΔH_f (0 K): 0.1870 eV/atom
- Mass density: 2.57 Mg/m³

Unit cell a=5.2940 b=5.2940 c=15.4140 alpha=90.00 beta=90.00 gamma=120.00
Last column: nearest neighbours and their distance in Å.
Space group R32 (No. 155, hexagonal axes)
Inequivalent atoms, fractional coordinates:
Mg 0.0000 0.0000 0.0000  6 Ti 3.06, 6 Mg 3.12
Mg 0.0000 0.6685 0.5000  8 Mg 3.04-3.12, 4 Ti 3.11-3.12
Ti 0.0000 0.0000 0.3324  9 Mg 3.06-3.12, 3 Ti 3.06

---

Here is crystalline MgTi5 at its relaxed geometry from the Materials Project database. Energies are from GGA-PBE.

- Volume: 215.1 Å³ per cell
- Offset from the most stable computed form: 32 meV/atom
- ΔH_f (0 K): 0.0937 eV/atom
- Mass density: 4.07 Mg/m³

Unit cell a=4.8205 b=2.9134 c=15.3172 alpha=90.00 beta=90.00 gamma=90.00
Last column: nearest neighbours and their distance in Å.
Space group Amm2 (No. 38)
Inequivalent atoms, fractional coordinates:
Mg 0.0000 0.0000 0.0000  2 Mg 2.91, 10 Ti 2.95-3.02
Ti 0.0000 0.0000 0.3273  10 Ti 2.85-2.95, 2 Mg 3.02
Ti 0.0000 0.0000 0.6675  10 Ti 2.85-2.93, 2 Mg 2.95
Ti 0.5000 0.0000 0.1139  10 Ti 2.87-3.06, 2 Mg 2.98
Ti 0.5000 0.0000 0.4381  8 Ti 2.88-3.06, 4 Mg 2.97
Ti 0.5000 0.0000 0.7756  12 Ti 2.87-2.93

---

Here is crystalline MgTi at its relaxed geometry from the Materials Project database. Energies are from GGA-PBE.

- Volume: 235.3 Å³ per cell
- ΔH_f (0 K): 0.1106 eV/atom
- Mass density: 3.06 Mg/m³

Unit cell a=6.0155 b=4.7778 c=8.3233 alpha=90.00 beta=100.41 gamma=90.00
Last column: nearest neighbours and their distance in Å.
Space group P2_1/m (No. 11)
Inequivalent atoms, fractional coordinates:
Mg 0.0234 0.2500 0.1089  7 Mg 2.96-3.17, 4 Ti 3.06-3.16
Mg 0.3112 0.7500 0.2328  6 Ti 2.99-3.03, 6 Mg 2.99-3.18
Mg 0.4682 0.7500 0.8879  7 Mg 2.96-3.18, 4 Ti 3.06-3.21
Ti 0.1310 0.7500 0.5475  8 Ti 2.78-2.91, 1 Mg 3.01
Ti 0.1840 0.2500 0.7413  4 Ti 2.77-2.87, 6 Mg 3.01-3.06
Ti 0.3497 0.2500 0.4516  6 Ti 2.77-3.02, 3 Mg 2.99-3.02

---

Here is crystalline MgTi at its relaxed geometry from the Materials Project database. Energies are from GGA-PBE.

- Volume: 473.5 Å³ per cell
- ΔH_f (0 K): 0.1472 eV/atom
- Mass density: 3.04 Mg/m³

Unit cell a=6.2346 b=15.8336 c=4.7966 alpha=90.00 beta=90.00 gamma=90.00
Last column: nearest neighbours and their distance in Å.
Space group Pbcm (No. 57)
Inequivalent atoms, fractional coordinates:
Mg 0.1188 0.0308 0.2500  7 Mg 2.98-3.18, 5 Ti 3.08-3.20
Mg 0.3713 0.5274 0.2500  7 Mg 3.01-3.18, 5 Ti 3.07-3.33
Mg 0.3779 0.1932 0.2500  4 Mg 3.00-3.06, 8 Ti 3.01-3.15
Ti 0.0960 0.1527 0.7500  4 Ti 2.71-2.87, 1 Mg 3.01
Ti 0.1265 0.7004 0.2500  8 Ti 2.71-2.87
Ti 0.3425 0.6483 0.7500  4 Ti 2.73-2.87, 3 Mg 3.05-3.06

---

Here is crystalline MgTi at its relaxed geometry from the Materials Project database. Energies are from GGA-PBE.

- Volume: 234.5 Å³ per cell
- ΔH_f (0 K): 0.1116 eV/atom
- Mass density: 3.07 Mg/m³

Unit cell a=11.3623 b=2.9680 c=7.2047 alpha=90.00 beta=105.19 gamma=90.00
Last column: nearest neighbours and their distance in Å.
Space group Cm (No. 8)
Inequivalent atoms, fractional coordinates:
Mg 0.0000 0.0000 0.0000  5 Mg 2.97-3.12, 7 Ti 3.01-3.05
Mg 0.0581 0.0000 0.5995  6 Mg 2.97-3.12, 6 Ti 3.09-3.18
Mg 0.3282 0.0000 0.6556  7 Mg 2.97-3.12, 5 Ti 2.97-3.13
Ti 0.1776 0.5000 0.3186  5 Ti 2.75-2.97, 4 Mg 2.97-3.02
Ti 0.2267 0.5000 0.9641  5 Ti 2.75-2.97, 3 Mg 3.04-3.05
Ti 0.3760 0.0000 0.2597  6 Ti 2.78-2.97, 3 Mg 3.01-3.04

---

Here is crystalline MgTi at its relaxed geometry from the Materials Project database. Energies are from GGA-PBE.

- Volume: 395.5 Å³ per cell
- ΔH_f (0 K): 0.1640 eV/atom
- Mass density: 3.03 Mg/m³

Unit cell a=4.8736 b=15.3294 c=5.2937 alpha=90.00 beta=90.00 gamma=90.00
Last column: nearest neighbours and their distance in Å.
Space group Amm2 (No. 38)
Inequivalent atoms, fractional coordinates:
Mg 0.0000 0.0000 0.0000  10 Ti 2.93-3.00, 2 Mg 3.02
Mg 0.0000 0.1972 0.0178  7 Mg 3.02-3.10, 5 Ti 3.10-3.31
Mg 0.5000 0.1955 0.6780  6 Ti 3.00-3.33, 6 Mg 3.03-3.13
Ti 0.0000 0.0869 0.5079  5 Ti 2.66-2.95, 1 Mg 2.93
Ti 0.5000 0.0000 0.6849  8 Ti 2.92-3.01, 4 Mg 2.95-3.00
Ti 0.5000 0.0871 0.1953  4 Ti 2.67-2.95, 2 Mg 2.96

---

Here is crystalline MgTi at its relaxed geometry from the Materials Project database. Energies are from GGA-PBE.

- Volume: 235.2 Å³ per cell
- ΔH_f (0 K): 0.0752 eV/atom
- Mass density: 3.06 Mg/m³

Unit cell a=4.8015 b=2.9593 c=16.5495 alpha=90.00 beta=90.00 gamma=90.00
Last column: nearest neighbours and their distance in Å.
Space group Amm2 (No. 38)
Inequivalent atoms, fractional coordinates:
Mg 0.0000 0.0000 0.0000  4 Mg 2.96-2.99, 6 Ti 3.01-3.07
Mg 0.0000 0.0000 0.3194  6 Mg 2.96-3.07, 4 Ti 2.97-3.05
Mg 0.5000 0.0000 0.8924  8 Mg 2.96-3.07, 2 Ti 3.30
Ti 0.0000 0.0000 0.6584  8 Ti 2.79-2.97, 4 Mg 3.01-3.05
Ti 0.5000 0.0000 0.2139  8 Ti 2.76-2.97, 2 Mg 2.97
Ti 0.5000 0.0000 0.5729  6 Ti 2.76-2.96, 4 Mg 3.07

---

Here is crystalline MgTi at its relaxed geometry from the Materials Project database. Energies are from GGA-PBE.

- Volume: 236.4 Å³ per cell
- ΔH_f (0 K): 0.2527 eV/atom
- Mass density: 3.04 Mg/m³

Unit cell a=4.8790 b=8.9954 c=5.3861 alpha=90.00 beta=90.00 gamma=90.00
Last column: nearest neighbours and their distance in Å.
Space group Amm2 (No. 38)
Inequivalent atoms, fractional coordinates:
Mg 0.0000 0.0000 0.0000  8 Ti 3.00-3.09, 4 Mg 3.02
Mg 0.5000 0.1686 0.8248  7 Ti 2.98-3.14, 5 Mg 3.02-3.07
Ti 0.0000 0.1575 0.4910  5 Ti 2.83-3.17, 7 Mg 3.00-3.09
Ti 0.5000 0.0000 0.3351  4 Ti 2.94, 8 Mg 2.98-3.14

---

Here is crystalline Mg3Ti at its relaxed geometry from the Materials Project database. Energies are from GGA-PBE.

- Volume: 168.5 Å³ per cell
- ΔH_f (0 K): 0.2124 eV/atom
- Mass density: 2.38 Mg/m³

Unit cell a=4.9553 b=6.2008 c=5.4838 alpha=90.00 beta=90.00 gamma=90.00
Last column: nearest neighbours and their distance in Å.
Space group Pmmn (No. 59, origin choice 2)
Inequivalent atoms, fractional coordinates:
Mg 0.2500 0.0026 0.1685  8 Mg 3.05-3.17, 4 Ti 3.08-3.20
Mg 0.2500 0.7500 0.6651  4 Ti 3.04-3.10, 8 Mg 3.05-3.17
Ti 0.2500 0.2500 0.6555  12 Mg 3.04-3.20

---

Here is crystalline Mg3Ti at its relaxed geometry from the Materials Project database. Energies are from GGA-PBE.

- Volume: 169.5 Å³ per cell
- ΔH_f (0 K): 0.1639 eV/atom
- Mass density: 2.37 Mg/m³

Unit cell a=3.0696 b=10.1822 c=5.4224 alpha=90.00 beta=90.00 gamma=90.00
Last column: nearest neighbours and their distance in Å.
Space group Imm2 (No. 44)
Inequivalent atoms, fractional coordinates:
Mg 0.0000 0.0000 0.0000  8 Mg 3.07-3.12, 4 Ti 3.11-3.12
Mg 0.0000 0.2496 0.6678  9 Mg 3.07-3.12, 3 Ti 3.10-3.12
Ti 0.0000 0.5000 0.0007  2 Ti 3.07, 10 Mg 3.10-3.12

---

Here is crystalline MgTi at its relaxed geometry from the Materials Project database. Energies are from GGA-PBE.

- Volume: 157.2 Å³ per cell
- ΔH_f (0 K): 0.1549 eV/atom
- Mass density: 3.05 Mg/m³

Unit cell a=6.4668 b=5.0787 c=4.7857 alpha=90.00 beta=90.00 gamma=90.00
Last column: nearest neighbours and their distance in Å.
Space group Pbcm (No. 57)
Inequivalent atoms, fractional coordinates:
Mg 0.1341 0.0663 0.2500  5 Ti 3.00-3.14, 6 Mg 3.03-3.08
Ti 0.4028 0.5821 0.2500  6 Ti 2.83-2.94, 5 Mg 3.00-3.14

---

no.,uncorrected energy (eV/atom)
1,-5.320
2,-2.798
3,-3.005
4,-5.902
5,-5.894
6,-3.103
7,-3.590
8,-2.951
9,-4.683
10,-6.785
11,-3.561
12,-4.581
13,-3.498
14,-3.512
15,-6.753
16,-4.637
17,-4.601
18,-4.636
19,-4.584
20,-4.673
21,-4.495
22,-2.962
23,-3.010
24,-4.593